1.
DFT (PBE) results for crystalline Rb2ScInF6 at its relaxed geometry.

Cell and atoms, written as POSCAR:
```
Rb2ScInF6
1.0
0.0000 4.6654 4.6654
4.6654 0.0000 4.6654
4.6654 4.6654 0.0000
Rb Sc In F
2 1 1 6
Direct
0.7500 0.7500 0.7500 Rb
0.2500 0.2500 0.2500 Rb
0.0000 0.0000 0.0000 Sc
0.5000 0.5000 0.5000 In
0.7815 0.2185 0.2185 F
0.2185 0.2185 0.7815 F
0.2185 0.7815 0.7815 F
0.2185 0.7815 0.2185 F
0.7815 0.2185 0.7815 F
0.7815 0.7815 0.2185 F
```

Its uncorrected energy is -52.70 eV per cell. The corrected total energy (MP2020 scheme) comes out at -55.5 eV for the cell shown.

***

2.
DFT (PBE) results for crystalline MgSnPd2 at its relaxed geometry.

Cell and atoms, written as POSCAR:
```
MgSnPd2
1.0
0.0000 3.2536 3.2536
3.2536 0.0000 3.2536
3.2536 3.2536 0.0000
Mg Sn Pd
1 1 2
Direct
0.5000 0.5000 0.5000 Mg
0.0000 0.0000 0.0000 Sn
0.2500 0.2500 0.2500 Pd
0.7500 0.7500 0.7500 Pd
```

Its uncorrected energy is -18.69 eV per cell.

***

3.
DFT (PBE) results for crystalline La2Th8O19 at its relaxed geometry.

Cell and atoms, written as POSCAR:
```
La2Th8O19
1.0
3.8096 0.0000 0.0000
0.0000 4.0813 0.0000
0.0000 0.0000 27.8250
La Th O
2 8 19
Direct
0.0000 0.0000 0.0049 La
0.5000 0.5000 0.8945 La
0.0000 0.0000 0.7986 Th
0.5000 0.5000 0.6995 Th
0.0000 0.0000 0.5995 Th
0.5000 0.5000 0.4995 Th
0.0000 0.0000 0.3995 Th
0.5000 0.5000 0.2994 Th
0.0000 0.0000 0.1995 Th
0.5000 0.5000 0.0991 Th
0.0000 0.5000 0.7496 O
0.5000 0.0000 0.6489 O
0.0000 0.5000 0.5491 O
0.5000 0.0000 0.4490 O
0.0000 0.5000 0.3489 O
0.5000 0.0000 0.2492 O
0.0000 0.5000 0.1482 O
0.5000 0.0000 0.0518 O
0.5000 0.0000 0.1519 O
0.0000 0.5000 0.0496 O
0.5000 0.0000 0.9530 O
0.5000 0.0000 0.8461 O
0.0000 0.5000 0.8534 O
0.5000 0.0000 0.7502 O
0.0000 0.5000 0.6517 O
0.5000 0.0000 0.5514 O
0.0000 0.5000 0.4514 O
0.5000 0.0000 0.3514 O
0.0000 0.5000 0.2512 O
```

Its uncorrected energy is -272.47 eV per cell. The calculation puts the relative energy among the computed polymorphs at 43 meV per atom. The corrected total energy (MP2020 scheme) comes out at -285.5 eV for the cell shown.